This record from the Materials Project database describes a relaxed DyHoAl4 crystal. The functional is r²SCAN.

The magnetization comes out at 0.00 μB/atom. For the formation energy from the elements, the calculation gives -584 meV/atom.

The space group is F-43m (No. 216) and the conventional cell measures 7.8145, 7.8145 and 7.8145 Å, with angles of 90.00, 90.00 and 90.00 degrees. The asymmetric unit holds Dy at (0.0000, 0.0000, 0.0000), Ho at (0.2500, 0.2500, 0.2500) and Al at (0.1250, 0.1250, 0.6250).